1.
DFT (PBE) results for Na10La4Zn4Si3S9O48 after structural relaxation.

Summary:
SG = P1, No. 1

Lattice parameters (Å, degrees): 9.4378 16.3228 23.6961 89.50 89.95 89.66
With the nearest neighbours (Å) after each atom.
Fractional positions:
1 Na 0.0000 0.0000 0.0000  4 O 2.37-2.56
2 Na 0.0008 0.6272 0.0015  5 O 2.50-2.76
3 Na 0.1428 0.4961 0.5043  4 O 2.32-2.56
4 Na 0.1782 0.7959 0.5127  3 O 2.36-2.63
5 Na 0.1857 0.1305 0.8478  3 O 2.34-2.60
6 Na 0.3034 0.3162 0.2520  3 O 2.36-2.63
7 Na 0.3121 0.9744 0.9131  3 O 2.26-2.52
8 Na 0.3163 0.6448 0.5845  2 O 2.34-2.45
9 Na 0.3201 0.3181 0.7516  3 O 2.35-2.61
10 Na 0.3370 0.6384 0.0874  3 O 2.44-2.62
11 Na 0.3395 0.9801 0.4193  2 O 2.39-2.53
12 Na 0.4603 0.4627 0.6838  3 O 2.36-2.59
13 Na 0.4627 0.1324 0.3511  3 O 2.39-2.57
14 Na 0.4642 0.7964 0.0110  2 O 2.38-2.57
15 Na 0.4965 0.4590 0.3372  4 O 2.47-2.64
16 Na 0.4996 0.1288 0.0022  5 O 2.47-2.73
17 Na 0.5026 0.4993 0.0013  4 O 2.45-2.53
18 Na 0.5040 0.1622 0.6705  2 O 2.29-2.42
19 Na 0.6420 0.3287 0.8330  4 O 2.31-2.58
20 Na 0.6479 0.9972 0.5040  4 O 2.32-2.54
21 Na 0.6863 0.2971 0.5198  4 O 2.39-2.58
22 Na 0.6891 0.6302 0.8472  3 O 2.40-2.59
23 Na 0.8030 0.8161 0.2528  2 O 2.38-2.44
24 Na 0.8245 0.4741 0.9147  3 O 2.36-2.49
25 Na 0.8273 0.1495 0.5887  3 O 2.45-2.68
26 Na 0.8369 0.8250 0.7532  3 O 2.43-2.59
27 Na 0.8401 0.4807 0.4221  3 O 2.44-2.67
28 Na 0.8447 0.1509 0.0837  2 O 2.28-2.52
29 Na 0.9617 0.6319 0.3517  3 O 2.38-2.49
30 Na 0.9956 0.9592 0.3375  4 O 2.48-2.65
31 La 0.3079 0.3016 0.4123  6 O 2.25-2.51
32 La 0.3124 0.6371 0.7456  6 O 2.21-2.44
33 La 0.3154 0.3102 0.9119  6 O 2.26-2.46
34 La 0.3146 0.9788 0.0827  6 O 2.24-2.48
35 La 0.3199 0.9801 0.5767  6 O 2.25-2.43
36 La 0.3207 0.6362 0.2415  4 O 2.15-2.40
37 La 0.8078 0.8009 0.4129  5 O 2.24-2.43
38 La 0.8179 0.4721 0.0797  6 O 2.27-2.42
39 La 0.8224 0.1338 0.7417  6 O 2.16-2.41
40 La 0.8216 0.1361 0.2417  5 O 2.15-2.40
41 La 0.8229 0.4764 0.5810  6 O 2.25-2.48
42 La 0.8278 0.8109 0.9080  6 O 2.22-2.45
43 Zn 0.2777 0.6334 0.4400  2 O 1.92-1.97
44 Zn 0.2850 0.9603 0.7773  2 O 1.92-2.03
45 Zn 0.2942 0.2936 0.1089  1 O 1.88
46 Zn 0.3594 0.2969 0.6083  2 O 1.93-1.98
47 Zn 0.3669 0.9657 0.2764  2 O 1.92-2.02
48 Zn 0.3742 0.6370 0.9352  3 O 1.91-2.09
49 Zn 0.7783 0.1351 0.4400  2 O 1.94-1.98
50 Zn 0.7815 0.4675 0.7710  2 O 1.92-2.00
51 Zn 0.7979 0.7910 0.1102  1 O 1.91
52 Zn 0.8397 0.7879 0.6079  1 O 1.90
53 Zn 0.8659 0.4649 0.2769  2 O 1.92-2.01
54 Zn 0.8895 0.1398 0.9366  3 O 1.92-2.00
55 Si 0.1662 0.1582 0.0098  4 O 1.62-1.69
56 Si 0.1661 0.4894 0.3453  4 O 1.63-1.66
57 Si 0.4848 0.1559 0.5089  4 O 1.63-1.67
58 Si 0.4852 0.4880 0.8429  4 O 1.63-1.67
59 Si 0.6603 0.3222 0.6754  4 O 1.63-1.68
60 Si 0.6665 0.6592 0.0087  4 O 1.63-1.68
61 Si 0.6666 0.9894 0.3458  4 O 1.63-1.67
62 Si 0.9827 0.6562 0.5080  4 O 1.64-1.68
63 Si 0.9864 0.9887 0.8447  4 O 1.62-1.67
64 S 0.0147 0.9618 0.1794  4 O 1.48-1.50
65 S 0.0175 0.6314 0.8487  4 O 1.48-1.50
66 S 0.0188 0.3010 0.5148  4 O 1.46-1.52
67 S 0.1197 0.1308 0.3451  4 O 1.47-1.51
68 S 0.1206 0.8006 0.0153  4 O 1.47-1.51
69 S 0.1251 0.4661 0.6780  4 O 1.47-1.53
70 S 0.1592 0.8258 0.6758  4 O 1.48-1.49
71 S 0.1801 0.7934 0.3460  4 O 1.48-1.51
72 S 0.1811 0.4604 0.0152  4 O 1.47-1.51
73 S 0.1840 0.1269 0.6812  4 O 1.48-1.49
74 S 0.4600 0.7920 0.8463  4 O 1.47-1.51
75 S 0.4607 0.1298 0.1790  4 O 1.48-1.50
76 S 0.4633 0.4576 0.5113  4 O 1.48-1.50
77 S 0.4845 0.8253 0.1762  4 O 1.48-1.49
78 S 0.5168 0.4629 0.1788  4 O 1.48-1.51
79 S 0.5181 0.8003 0.5156  4 O 1.47-1.52
80 S 0.5197 0.1343 0.8470  4 O 1.47-1.52
81 S 0.6169 0.3002 0.0130  4 O 1.47-1.51
82 S 0.6169 0.9628 0.6783  4 O 1.47-1.51
83 S 0.6191 0.6312 0.3449  4 O 1.47-1.51
84 S 0.6783 0.6298 0.6807  4 O 1.48-1.50
85 S 0.6786 0.9558 0.0155  4 O 1.47-1.51
86 S 0.6803 0.2931 0.3460  4 O 1.48-1.51
87 S 0.9591 0.2898 0.8452  4 O 1.48-1.50
88 S 0.9595 0.6284 0.1777  4 O 1.49-1.50
89 S 0.9606 0.9548 0.5112  4 O 1.48-1.50
90 S 0.9859 0.3253 0.1785  4 O 1.48-1.49
91 O 0.0016 0.8202 0.6743  1 S 1.49
92 O 0.0208 0.8013 0.3485  1 S 1.51
93 O 0.0238 0.4755 0.0189  1 S 1.51
94 O 0.0258 0.7941 0.0643  1 S 1.47
95 O 0.0273 0.1289 0.3949  1 S 1.47
96 O 0.0270 0.4655 0.7259  1 S 1.47
97 O 0.0287 0.1398 0.6819  1 S 1.48
98 O 0.0367 0.1438 0.2926  1 S 1.48
99 O 0.0386 0.8186 0.9631  1 S 1.49
100 O 0.0494 0.4770 0.6231  1 S 1.49
101 O 0.0992 0.9698 0.1258  1 S 1.50
102 O 0.1002 0.3159 0.4614  1 S 1.50
103 O 0.1047 0.6302 0.9009  1 S 1.49
104 O 0.1084 0.6422 0.7982  1 S 1.48
105 O 0.1102 0.9588 0.2290  1 S 1.48
106 O 0.1146 0.2961 0.5632  1 S 1.46
107 O 0.1165 0.2949 0.8492  1 S 1.49
108 O 0.1164 0.6390 0.1802  1 S 1.49
109 O 0.1192 0.9587 0.5163  1 S 1.50
110 O 0.1432 0.3204 0.1759  1 S 1.49
111 O 0.1608 0.6522 0.5077  1 Si 1.68
112 O 0.1623 0.9883 0.8392  1 Si 1.67
113 O 0.1883 0.5422 0.4038  1 Si 1.65
114 O 0.2014 0.8762 0.7247  1 S 1.48
115 O 0.2020 0.0519 0.3416  1 S 1.50
116 O 0.2031 0.4157 0.9618  1 S 1.48
117 O 0.2049 0.7231 0.0093  1 S 1.50
118 O 0.2091 0.2135 0.0634  1 Si 1.62
119 O 0.2107 0.7416 0.2964  1 S 1.48
120 O 0.2133 0.0786 0.6294  1 S 1.49
121 O 0.2134 0.8618 0.6221  1 S 1.49
122 O 0.2161 0.3917 0.6766  1 S 1.48
123 O 0.2239 0.7424 0.6804  1 S 1.49
124 O 0.2245 0.8705 0.0198  1 S 1.51
125 O 0.2259 0.5389 0.6798  1 S 1.53
126 O 0.2266 0.1993 0.3462  1 S 1.51
127 O 0.2340 0.1918 0.9501  1 Si 1.64
128 O 0.2373 0.0632 0.0144  1 Si 1.69
129 O 0.2366 0.7545 0.3984  1 S 1.49
130 O 0.2387 0.0820 0.7315  1 S 1.49
131 O 0.2393 0.4144 0.0636  1 S 1.47
132 O 0.2389 0.8776 0.3392  1 S 1.49
133 O 0.2411 0.5374 0.2926  1 Si 1.63
134 O 0.2476 0.4000 0.3459  1 Si 1.64
135 O 0.2504 0.5426 0.0117  1 S 1.50
136 O 0.2594 0.2067 0.6769  1 S 1.49
137 O 0.3894 0.2107 0.1760  1 S 1.48
138 O 0.3956 0.5396 0.5071  1 S 1.48
139 O 0.3979 0.8745 0.8402  1 S 1.47
140 O 0.4021 0.4146 0.5615  1 S 1.49
141 O 0.4032 0.7532 0.8999  1 S 1.51
142 O 0.4061 0.0820 0.2283  1 S 1.49
143 O 0.4176 0.8730 0.5193  1 S 1.52
144 O 0.4213 0.7425 0.1811  1 S 1.48
145 O 0.4225 0.5315 0.7857  1 Si 1.63
146 O 0.4236 0.2096 0.8478  1 S 1.52
147 O 0.4253 0.1938 0.4494  1 Si 1.63
148 O 0.4264 0.3933 0.8456  1 Si 1.65
149 O 0.4272 0.3892 0.1756  1 S 1.48
150 O 0.4271 0.5395 0.1786  1 S 1.51
151 O 0.4273 0.7393 0.7975  1 S 1.48
152 O 0.4277 0.0600 0.5118  1 Si 1.66
153 O 0.4284 0.0611 0.8421  1 S 1.48
154 O 0.4298 0.7263 0.5100  1 S 1.48
155 O 0.4320 0.8603 0.1218  1 S 1.49
156 O 0.4356 0.4093 0.4590  1 S 1.50
157 O 0.4375 0.0835 0.1256  1 S 1.50
158 O 0.4398 0.8771 0.2245  1 S 1.49
159 O 0.4466 0.2109 0.5647  1 Si 1.64
160 O 0.4524 0.5417 0.9005  1 Si 1.66
161 O 0.4827 0.3197 0.6738  1 Si 1.68
162 O 0.4895 0.6516 0.0047  1 Si 1.68
163 O 0.4910 0.9882 0.3385  1 Si 1.67
164 O 0.5177 0.2945 0.0609  1 S 1.47
165 O 0.5184 0.9578 0.7264  1 S 1.47
166 O 0.5191 0.9637 0.0202  1 S 1.51
167 O 0.5201 0.6366 0.6840  1 S 1.50
168 O 0.5208 0.3008 0.3488  1 S 1.51
169 O 0.5269 0.6294 0.3949  1 S 1.47
170 O 0.5356 0.6440 0.2925  1 S 1.48
171 O 0.5358 0.9731 0.6238  1 S 1.51
172 O 0.5375 0.3152 0.9589  1 S 1.50
173 O 0.5987 0.8184 0.4625  1 S 1.50
174 O 0.6035 0.4710 0.1258  1 S 1.50
175 O 0.6073 0.1469 0.7952  1 S 1.49
176 O 0.6083 0.1305 0.8981  1 S 1.47
177 O 0.6102 0.4598 0.2291  1 S 1.48
178 O 0.6146 0.7955 0.5640  1 S 1.47
179 O 0.6171 0.1402 0.1823  1 S 1.49
180 O 0.6178 0.7949 0.8489  1 S 1.49
181 O 0.6207 0.4636 0.5148  1 S 1.49
182 O 0.6419 0.8200 0.1756  1 S 1.49
183 O 0.6620 0.1525 0.5083  1 Si 1.67
184 O 0.6622 0.4848 0.8395  1 Si 1.67
185 O 0.6887 0.0427 0.4042  1 Si 1.65
186 O 0.6934 0.3786 0.7316  1 Si 1.66
187 O 0.6930 0.7215 0.0612  1 Si 1.63
188 O 0.7003 0.9078 0.9630  1 S 1.49
189 O 0.7008 0.0414 0.6806  1 S 1.51
190 O 0.7012 0.2237 0.0087  1 S 1.48
191 O 0.7015 0.5523 0.3414  1 S 1.50
192 O 0.7037 0.5783 0.6302  1 S 1.49
193 O 0.7100 0.2415 0.2963  1 S 1.48
194 O 0.7115 0.3739 0.0174  1 S 1.51
195 O 0.7128 0.8914 0.6749  1 S 1.48
196 O 0.7176 0.2271 0.6782  1 Si 1.64
197 O 0.7192 0.3638 0.6170  1 Si 1.63
198 O 0.7255 0.6999 0.3459  1 S 1.51
199 O 0.7321 0.5649 0.0161  1 Si 1.67
200 O 0.7359 0.5884 0.7322  1 S 1.49
201 O 0.7372 0.2540 0.3982  1 S 1.49
202 O 0.7384 0.0394 0.0099  1 S 1.48
203 O 0.7383 0.3775 0.3393  1 S 1.49
204 O 0.7385 0.6931 0.9504  1 Si 1.63
205 O 0.7412 0.0373 0.2931  1 Si 1.63
206 O 0.7426 0.9128 0.0642  1 S 1.47
207 O 0.7441 0.7116 0.6739  1 S 1.48
208 O 0.7472 0.8997 0.3464  1 Si 1.65
209 O 0.8888 0.7101 0.1743  1 S 1.49
210 O 0.8925 0.3718 0.8419  1 S 1.48
211 O 0.8961 0.9103 0.5591  1 S 1.48
212 O 0.8973 0.2480 0.8961  1 S 1.50
213 O 0.8979 0.0380 0.5072  1 S 1.48
214 O 0.9064 0.5827 0.2279  1 S 1.49
215 O 0.9167 0.7032 0.8473  1 S 1.50
216 O 0.9203 0.0376 0.7912  1 Si 1.62
217 O 0.9204 0.8963 0.8447  1 Si 1.64
218 O 0.9223 0.3757 0.5168  1 S 1.52
219 O 0.9237 0.2422 0.1822  1 S 1.48
220 O 0.9248 0.5613 0.5133  1 Si 1.65
221 O 0.9254 0.8880 0.1765  1 S 1.48
222 O 0.9256 0.0383 0.1797  1 S 1.50
223 O 0.9273 0.6919 0.4467  1 Si 1.64
224 O 0.9277 0.2278 0.5098  1 S 1.48
225 O 0.9294 0.3629 0.1261  1 S 1.48
226 O 0.9308 0.2415 0.7941  1 S 1.48
227 O 0.9317 0.5558 0.8442  1 S 1.48
228 O 0.9328 0.5815 0.1248  1 S 1.50
229 O 0.9382 0.9094 0.4570  1 S 1.50
230 O 0.9446 0.3745 0.2286  1 S 1.49
231 O 0.9481 0.7203 0.5591  1 Si 1.64
232 O 0.9592 0.0400 0.9042  1 Si 1.66
233 O 0.9907 0.4885 0.3384  1 Si 1.66
234 O 0.9924 0.1449 0.0077  1 Si 1.66

***

2.
DFT (PBE) results for Na4La2Zr2Si3S3O24 after structural relaxation.

Summary:
SG = P1, No. 1

Lattice parameters (Å, degrees): 9.3955 9.4011 23.8945 89.82 89.66 60.15
With the nearest neighbours (Å) after each atom.
Fractional positions:
1 Na 0.0000 0.0000 0.0000  4 O 2.44-2.49
2 Na 0.0021 0.2934 0.4884  3 O 2.45-2.54
3 Na 0.0080 0.6260 0.7432  3 O 2.46-2.64
4 Na 0.3184 0.3485 0.6612  3 O 2.39-2.62
5 Na 0.3304 0.9967 0.4048  3 O 2.43-2.69
6 Na 0.3325 0.6281 0.1504  3 O 2.43-2.54
7 Na 0.3403 0.9681 0.9206  2 O 2.36-2.43
8 Na 0.6525 0.9577 0.8381  3 O 2.33-2.46
9 Na 0.6627 0.3243 0.5672  3 O 2.44-2.61
10 Na 0.6708 0.3166 0.0792  5 O 2.57-2.85
11 Na 0.6730 0.6666 0.3207  4 O 2.45-2.74
12 Na 0.9770 0.6421 0.2334  3 O 2.44-2.60
13 La 0.0050 0.6343 0.8931  4 O 2.12-2.34
14 La 0.3312 0.9760 0.5540  6 O 2.23-2.44
15 La 0.3406 0.9757 0.0575  4 O 2.15-2.33
16 La 0.6629 0.3247 0.7242  6 O 2.25-2.47
17 La 0.6819 0.3003 0.2211  4 O 2.15-2.40
18 La 0.9962 0.6403 0.3899  3 O 2.17-2.25
19 Zr 0.3070 0.9892 0.2533  4 O 1.97-2.16
20 Zr 0.3075 0.0058 0.7592  3 O 1.97-2.16
21 Zr 0.6230 0.3242 0.9320  3 O 1.95-2.05
22 Zr 0.6591 0.3206 0.4269  5 O 2.05-2.30
23 Zr 0.9708 0.6764 0.0926  4 O 2.01-2.11
24 Zr 0.9926 0.6274 0.5867  3 O 1.97-2.08
25 Si 0.0268 0.2884 0.6536  4 O 1.60-1.73
26 Si 0.0288 0.9725 0.1515  4 O 1.60-1.71
27 Si 0.2820 0.6492 0.9943  4 O 1.61-1.69
28 Si 0.2987 0.3524 0.4914  4 O 1.60-1.72
29 Si 0.3604 0.3112 0.8193  4 O 1.61-1.72
30 Si 0.6237 0.6909 0.1617  4 O 1.60-1.70
31 Si 0.6952 0.6372 0.4868  4 O 1.60-1.72
32 Si 0.6949 0.9518 0.9841  4 O 1.60-1.70
33 Si 0.9639 0.3030 0.3264  4 O 1.60-1.71
34 S 0.3056 0.2927 0.1596  4 O 1.45-1.52
35 S 0.3057 0.6928 0.6599  4 O 1.46-1.50
36 S 0.3724 0.6176 0.3237  4 O 1.46-1.52
37 S 0.6261 0.9710 0.6610  4 O 1.47-1.52
38 S 0.6396 0.0261 0.3269  4 O 1.46-1.50
39 S 0.6404 0.6293 0.8253  4 O 1.47-1.51
40 S 0.9607 0.0224 0.8247  4 O 1.47-1.51
41 S 0.9721 0.3536 0.9918  4 O 1.47-1.51
42 S 0.9725 0.9543 0.4924  4 O 1.45-1.51
43 O 0.0276 0.4675 0.6522  1 Si 1.69
44 O 0.0351 0.7911 0.1522  1 Si 1.68
45 O 0.1028 0.9951 0.0938  1 Si 1.60
46 O 0.1100 0.1897 0.5974  1 Si 1.60
47 O 0.1108 0.9869 0.4974  1 S 1.48
48 O 0.1122 0.1851 0.9963  1 S 1.48
49 O 0.1293 0.0030 0.8161  1 S 1.51
50 O 0.1453 0.1342 0.3172  1 Si 1.67
51 O 0.1508 0.4531 0.1580  1 S 1.49
52 O 0.1512 0.6836 0.6579  1 S 1.50
53 O 0.1539 0.9588 0.2057  1 Si 1.71
54 O 0.1551 0.1808 0.7086  1 Si 1.73
55 O 0.1754 0.4616 0.8224  1 Si 1.61
56 O 0.1776 0.4412 0.4402  1 Si 1.60
57 O 0.1810 0.6665 0.9380  1 Si 1.61
58 O 0.1881 0.6254 0.0496  1 Si 1.66
59 O 0.2009 0.4705 0.5493  1 Si 1.72
60 O 0.2034 0.6530 0.3310  1 S 1.46
61 O 0.2958 0.1951 0.2086  1 S 1.52
62 O 0.2970 0.8135 0.9940  1 Si 1.62
63 O 0.3006 0.7925 0.7094  1 S 1.50
64 O 0.3063 0.1761 0.4958  1 Si 1.63
65 O 0.3305 0.7605 0.6083  1 S 1.46
66 O 0.3319 0.2021 0.1077  1 S 1.45
67 O 0.3598 0.1292 0.8153  1 Si 1.72
68 O 0.3754 0.7765 0.3220  1 S 1.51
69 O 0.4386 0.5257 0.2719  1 S 1.46
70 O 0.4443 0.3190 0.7609  1 Si 1.62
71 O 0.4438 0.3236 0.1672  1 S 1.48
72 O 0.4450 0.5207 0.6640  1 S 1.49
73 O 0.4668 0.4786 0.9861  1 Si 1.69
74 O 0.4794 0.3379 0.4834  1 Si 1.64
75 O 0.4801 0.5216 0.3728  1 S 1.52
76 O 0.4857 0.7927 0.8202  1 S 1.51
77 O 0.4867 0.2875 0.8731  1 Si 1.69
78 O 0.4895 0.0092 0.3263  1 S 1.50
79 O 0.5083 0.9919 0.9887  1 Si 1.60
80 O 0.5105 0.7727 0.1078  1 Si 1.60
81 O 0.5111 0.7829 0.4962  1 Si 1.60
82 O 0.5254 0.9952 0.6112  1 S 1.47
83 O 0.5263 0.8095 0.2186  1 Si 1.70
84 O 0.5391 0.9531 0.7118  1 S 1.52
85 O 0.6261 0.5162 0.1652  1 Si 1.63
86 O 0.6292 0.5392 0.8744  1 S 1.48
87 O 0.6312 0.1286 0.3763  1 S 1.50
88 O 0.6383 0.1220 0.6654  1 S 1.48
89 O 0.6525 0.1009 0.2749  1 S 1.46
90 O 0.6660 0.5349 0.7735  1 S 1.47
91 O 0.6997 0.1299 0.9819  1 Si 1.70
92 O 0.7020 0.4553 0.4851  1 Si 1.68
93 O 0.7671 0.6637 0.4293  1 Si 1.60
94 O 0.7719 0.8608 0.9252  1 Si 1.62
95 O 0.7790 0.6623 0.8284  1 S 1.48
96 O 0.7852 0.8590 0.3301  1 S 1.49
97 O 0.7901 0.8231 0.6561  1 S 1.48
98 O 0.8072 0.6729 0.1523  1 Si 1.66
99 O 0.8176 0.1186 0.4900  1 S 1.51
100 O 0.8186 0.3414 0.9868  1 S 1.51
101 O 0.8192 0.8485 0.0382  1 Si 1.69
102 O 0.8268 0.6138 0.5405  1 Si 1.72
103 O 0.8413 0.3401 0.2750  1 Si 1.60
104 O 0.8419 0.1178 0.1573  1 Si 1.61
105 O 0.8434 0.3186 0.6608  1 Si 1.61
106 O 0.8613 0.1033 0.7747  1 S 1.48
107 O 0.8631 0.2856 0.3835  1 Si 1.71
108 O 0.8863 0.1214 0.8752  1 S 1.47
109 O 0.9566 0.4577 0.0403  1 S 1.48
110 O 0.9617 0.8629 0.5422  1 S 1.50
111 O 0.9749 0.8588 0.8267  1 S 1.48
112 O 0.9766 0.4704 0.3280  1 Si 1.64
113 O 0.9944 0.8644 0.4407  1 S 1.45
114 O 0.9954 0.4211 0.9390  1 S 1.47

***

Record-wise ΔH_f (0 K) values, in eV per atom: -2.38, -2.83